KAlF4, relaxed, DFT GGA-PBE; V = 82 Å³/f.u.; space-group type = No. 127; electronic total energy = -5.416 eV/atom
1.0
5.122 0.000 0.000
0.000 5.122 0.000
0.000 0.000 6.288
K Al F
2 2 8
direct
0.000 0.500 0.000
0.500 0.000 0.000
0.000 0.000 0.500
0.500 0.500 0.500
0.000 0.000 0.215
0.000 0.000 0.785
0.200 0.300 0.500
0.300 0.800 0.500
0.500 0.500 0.215
0.500 0.500 0.785
0.700 0.200 0.500
0.800 0.700 0.500